## MgZn4O5 (r2SCAN)

Data for a relaxed structure of MgZn4O5.

Cell and atoms, written as CIF:
```
data_MgZn4O5
_chemical_formula_sum 'Mg2 Zn8 O10'
_cell_length_a 3.2498
_cell_length_b 3.2498
_cell_length_c 25.9212
_cell_angle_alpha 90.00
_cell_angle_beta 90.00
_cell_angle_gamma 120.00
_space_group_name_H-M_alt 'P 3 m 1'
_space_group_IT_number 156
loop_
_space_group_symop_operation_xyz
'x,y,z'
'-y,x-y,z'
'-x+y,-x,z'
'-y,-x,z'
'-x+y,y,z'
'x,x-y,z'
loop_
_atom_site_label
_atom_site_type_symbol
_atom_site_fract_x
_atom_site_fract_y
_atom_site_fract_z
_atom_site_occupancy
Mg1 Mg 0.0000 0.0000 0.0000 1
Mg2 Mg 0.0000 0.0000 0.1988 1
Zn1 Zn 0.0000 0.0000 0.3977 1
Zn2 Zn 0.0000 0.0000 0.5984 1
Zn3 Zn 0.0000 0.0000 0.7991 1
Zn4 Zn 0.6667 0.3333 0.0982 1
Zn5 Zn 0.6667 0.3333 0.2973 1
Zn6 Zn 0.6667 0.3333 0.4980 1
Zn7 Zn 0.6667 0.3333 0.6987 1
Zn8 Zn 0.6667 0.3333 0.8993 1
O1 O 0.0000 0.0000 0.1225 1
O2 O 0.0000 0.0000 0.3211 1
O3 O 0.0000 0.0000 0.5218 1
O4 O 0.0000 0.0000 0.7225 1
O5 O 0.0000 0.0000 0.9237 1
O6 O 0.6667 0.3333 0.0219 1
O7 O 0.6667 0.3333 0.2208 1
O8 O 0.6667 0.3333 0.4214 1
O9 O 0.6667 0.3333 0.6221 1
O10 O 0.6667 0.3333 0.8228 1
```

Calculated values
For the formation enthalpy at 0 K, the calculation gives -1.890 eV per atom.